The following is a DFT calculation (GGA-PBE) of a geometry-optimized Mn2Ge3Pd4 structure.

Geometry as CIF:
```
data_Mn2Ge3Pd4
_cell_length_a 3.176
_cell_length_b 6.963
_cell_length_c 49.886
_cell_angle_alpha 90.04
_cell_angle_beta 90.00
_cell_angle_gamma 90.00
_space_group_name_H-M_alt 'P 1'
_space_group_IT_number 1
loop_
_space_group_symop_operation_xyz
'x,y,z'
loop_
_atom_site_label
_atom_site_fract_x
_atom_site_fract_y
_atom_site_fract_z
_atom_site_occupancy
Ge1 0.750 0.300 0.228 1
Mn1 0.250 0.896 0.312 1
Ge2 0.750 0.300 0.561 1
Ge3 0.250 0.752 0.184 1
Pd1 0.750 0.539 0.308 1
Mn2 0.250 0.396 0.188 1
Pd2 0.750 0.668 0.890 1
Ge4 0.250 0.752 0.850 1
Pd3 0.750 0.170 0.610 1
Pd4 0.250 0.464 0.358 1
Ge5 0.250 0.701 0.772 1
Ge6 0.750 0.745 0.684 1
Pd5 0.750 0.537 0.642 1
Pd6 0.750 0.603 0.145 1
Ge7 0.750 0.246 0.816 1
Pd7 0.750 0.103 0.021 1
Mn3 0.250 0.988 0.903 1
Pd8 0.250 0.330 0.776 1
Pd9 0.250 0.831 0.057 1
Ge8 0.750 0.745 0.017 1
Mn4 0.250 0.487 0.930 1
Ge9 0.250 0.701 0.439 1
Pd10 0.250 0.964 0.809 1
Pd11 0.750 0.103 0.688 1
Pd12 0.750 0.603 0.812 1
Pd13 0.750 0.604 0.479 1
Ge10 0.250 0.252 0.316 1
Pd14 0.750 0.039 0.858 1
Mn5 0.250 0.988 0.237 1
Ge11 0.750 0.246 0.483 1
Pd15 0.250 0.330 0.443 1
Pd16 0.750 0.104 0.355 1
Pd17 0.750 0.039 0.525 1
Ge12 0.250 0.255 0.650 1
Pd18 0.250 0.463 0.691 1
Pd19 0.750 0.668 0.224 1
Ge13 0.250 0.201 0.395 1
Mn6 0.250 0.487 0.596 1
Mn7 0.750 0.513 0.737 1
Pd20 0.250 0.463 0.025 1
Mn8 0.250 0.988 0.570 1
Pd21 0.250 0.897 0.979 1
Pd22 0.250 0.964 0.475 1
Pd23 0.250 0.330 0.110 1
Ge14 0.250 0.255 0.983 1
Pd24 0.750 0.170 0.943 1
Pd25 0.250 0.831 0.724 1
Pd26 0.750 0.039 0.192 1
Ge15 0.750 0.800 0.272 1
Ge16 0.750 0.246 0.149 1
Mn9 0.750 0.013 0.763 1
Mn10 0.250 0.488 0.263 1
Ge17 0.250 0.752 0.517 1
Pd27 0.250 0.897 0.645 1
Pd28 0.750 0.537 0.975 1
Mn11 0.750 0.513 0.403 1
Ge18 0.750 0.800 0.939 1
Mn12 0.750 0.013 0.430 1
Pd29 0.750 0.668 0.557 1
Ge19 0.750 0.800 0.605 1
Mn13 0.750 0.013 0.097 1
Mn14 0.250 0.395 0.855 1
Ge20 0.750 0.300 0.895 1
Pd30 0.250 0.964 0.142 1
Ge21 0.250 0.201 0.061 1
Pd31 0.250 0.830 0.390 1
Ge22 0.750 0.746 0.351 1
Mn15 0.250 0.395 0.522 1
Pd32 0.750 0.168 0.276 1
Ge23 0.250 0.201 0.728 1
Ge24 0.250 0.701 0.105 1
Mn16 0.750 0.513 0.070 1
```

The following is a DFT calculation (GGA-PBE) of a geometry-optimized MnGe2Pd3 structure.

Geometry as CIF:
```
data_MnGe2Pd3
_cell_length_a 3.196
_cell_length_b 6.957
_cell_length_c 16.601
_cell_angle_alpha 90.00
_cell_angle_beta 90.00
_cell_angle_gamma 90.00
_space_group_name_H-M_alt 'P 1'
_space_group_IT_number 1
loop_
_space_group_symop_operation_xyz
'x,y,z'
loop_
_atom_site_label
_atom_site_fract_x
_atom_site_fract_y
_atom_site_fract_z
_atom_site_occupancy
Ge1 0.750 0.298 0.315 1
Ge2 0.750 0.245 0.549 1
Mn1 0.250 0.985 0.289 1
Ge3 0.750 0.745 0.951 1
Pd1 0.750 0.170 0.169 1
Ge4 0.250 0.755 0.451 1
Pd2 0.250 0.966 0.576 1
Pd3 0.250 0.398 0.435 1
Mn2 0.750 0.515 0.789 1
Ge5 0.250 0.702 0.685 1
Ge6 0.750 0.798 0.185 1
Pd4 0.250 0.830 0.831 1
Pd5 0.250 0.330 0.669 1
Ge7 0.250 0.255 0.049 1
Pd6 0.250 0.466 0.924 1
Mn3 0.750 0.015 0.711 1
Pd7 0.750 0.102 0.935 1
Pd8 0.750 0.034 0.424 1
Ge8 0.250 0.202 0.815 1
Mn4 0.250 0.485 0.211 1
Pd9 0.750 0.534 0.076 1
Pd10 0.750 0.670 0.331 1
Pd11 0.250 0.898 0.065 1
Pd12 0.750 0.602 0.565 1
```

The following is a DFT calculation (GGA-PBE) of a geometry-optimized MnGeRh2 structure.

Geometry as CIF:
```
data_MnGeRh2
_cell_length_a 4.309
_cell_length_b 4.309
_cell_length_c 4.309
_cell_angle_alpha 60.00
_cell_angle_beta 60.00
_cell_angle_gamma 60.00
_space_group_name_H-M_alt 'P 1'
_space_group_IT_number 1
loop_
_space_group_symop_operation_xyz
'x,y,z'
loop_
_atom_site_label
_atom_site_fract_x
_atom_site_fract_y
_atom_site_fract_z
_atom_site_occupancy
Rh1 0.750 0.750 0.750 1
Ge1 0.000 0.000 0.000 1
Rh2 0.250 0.250 0.250 1
Mn1 0.500 0.500 0.500 1
```

The following is a DFT calculation (GGA-PBE) of a geometry-optimized MnGeRh structure.

Geometry as CIF:
```
data_MnGeRh
_cell_length_a 6.573
_cell_length_b 6.573
_cell_length_c 3.623
_cell_angle_alpha 90.00
_cell_angle_beta 90.00
_cell_angle_gamma 120.00
_space_group_name_H-M_alt 'P 1'
_space_group_IT_number 1
loop_
_space_group_symop_operation_xyz
'x,y,z'
loop_
_atom_site_label
_atom_site_fract_x
_atom_site_fract_y
_atom_site_fract_z
_atom_site_occupancy
Ge1 0.333 0.667 0.000 1
Ge2 0.000 0.000 0.500 1
Mn1 0.591 0.000 0.500 1
Rh1 0.742 0.742 0.000 1
Ge3 0.667 0.333 0.000 1
Rh2 0.258 0.000 0.000 1
Mn2 0.409 0.409 0.500 1
Rh3 0.000 0.258 0.000 1
Mn3 0.000 0.591 0.500 1
```

The following is a DFT calculation (GGA-PBE) of a geometry-optimized MnGeRh structure.

Geometry as CIF:
```
data_MnGeRh
_cell_length_a 7.470
_cell_length_b 7.470
_cell_length_c 7.470
_cell_angle_alpha 127.42
_cell_angle_beta 122.94
_cell_angle_gamma 81.29
_space_group_name_H-M_alt 'P 1'
_space_group_IT_number 1
loop_
_space_group_symop_operation_xyz
'x,y,z'
loop_
_atom_site_label
_atom_site_fract_x
_atom_site_fract_y
_atom_site_fract_z
_atom_site_occupancy
Rh1 0.337 0.000 0.596 1
Ge1 0.722 0.973 0.751 1
Ge2 0.840 0.329 0.504 1
Mn1 0.057 0.604 0.046 1
Mn2 0.467 0.994 0.026 1
Rh2 0.663 0.258 0.663 1
Rh3 0.095 0.258 0.096 1
Mn3 0.259 0.415 0.656 1
Ge3 0.674 0.664 0.004 1
Rh4 0.905 0.000 0.163 1
Mn4 0.741 0.398 0.156 1
Ge4 0.326 0.329 0.989 1
Mn5 0.943 0.989 0.546 1
Ge5 0.160 0.664 0.489 1
Rh5 0.000 0.740 0.740 1
Rh6 0.500 0.740 0.240 1
Mn6 0.533 0.559 0.526 1
Ge6 0.278 0.029 0.251 1
```

The following is a DFT calculation (GGA-PBE) of a geometry-optimized Mn2GeRu structure.

Geometry as CIF:
```
data_Mn2GeRu
_cell_length_a 4.173
_cell_length_b 4.173
_cell_length_c 4.173
_cell_angle_alpha 90.00
_cell_angle_beta 60.00
_cell_angle_gamma 120.00
_space_group_name_H-M_alt 'P 1'
_space_group_IT_number 1
loop_
_space_group_symop_operation_xyz
'x,y,z'
loop_
_atom_site_label
_atom_site_fract_x
_atom_site_fract_y
_atom_site_fract_z
_atom_site_occupancy
Ge1 0.000 0.000 0.000 1
Mn1 0.500 0.250 0.250 1
Ru1 0.500 0.750 0.750 1
Mn2 0.000 0.500 0.500 1
```

The following is a DFT calculation (GGA-PBE) of a geometry-optimized Mn2GeS4 structure.

Geometry as CIF:
```
data_Mn2GeS4
_cell_length_a 6.029
_cell_length_b 7.387
_cell_length_c 12.766
_cell_angle_alpha 90.01
_cell_angle_beta 90.03
_cell_angle_gamma 89.99
_space_group_name_H-M_alt 'P 1'
_space_group_IT_number 1
loop_
_space_group_symop_operation_xyz
'x,y,z'
loop_
_atom_site_label
_atom_site_fract_x
_atom_site_fract_y
_atom_site_fract_z
_atom_site_occupancy
S1 0.750 0.512 0.168 1
Mn1 0.502 0.251 0.229 1
S2 0.751 0.988 0.667 1
S3 0.757 0.750 0.429 1
Ge1 0.918 0.750 0.589 1
S4 0.785 0.250 0.907 1
Mn2 0.999 0.498 0.001 1
Mn3 0.000 0.002 0.001 1
S5 0.253 0.485 0.332 1
S6 0.743 0.750 0.930 1
S7 0.245 0.014 0.832 1
S8 0.714 0.250 0.407 1
Mn4 0.501 0.499 0.501 1
Mn5 0.005 0.750 0.269 1
S9 0.287 0.750 0.593 1
S10 0.245 0.486 0.832 1
S11 0.253 0.014 0.332 1
Mn6 0.496 0.751 0.770 1
S12 0.244 0.250 0.571 1
Mn7 0.999 0.250 0.729 1
S13 0.214 0.750 0.093 1
Ge2 0.083 0.250 0.410 1
Ge3 0.416 0.250 0.910 1
Mn8 0.500 0.001 0.501 1
S14 0.256 0.250 0.071 1
Ge4 0.583 0.751 0.090 1
S15 0.751 0.512 0.667 1
S16 0.750 0.989 0.168 1
```

The following is a DFT calculation (GGA-PBE) of a geometry-optimized ScMnGe structure.

Geometry as CIF:
```
data_ScMnGe
_cell_length_a 3.868
_cell_length_b 6.629
_cell_length_c 6.629
_cell_angle_alpha 120.00
_cell_angle_beta 90.00
_cell_angle_gamma 90.00
_space_group_name_H-M_alt 'P 1'
_space_group_IT_number 1
loop_
_space_group_symop_operation_xyz
'x,y,z'
loop_
_atom_site_label
_atom_site_fract_x
_atom_site_fract_y
_atom_site_fract_z
_atom_site_occupancy
Sc1 0.500 0.000 0.414 1
Ge1 0.500 0.000 0.000 1
Ge2 0.000 0.333 0.667 1
Mn1 0.000 0.230 0.230 1
Sc2 0.500 0.586 0.586 1
Ge3 0.000 0.667 0.333 1
Mn2 0.000 0.000 0.770 1
Sc3 0.500 0.414 0.000 1
Mn3 0.000 0.770 0.000 1
```

The records above give, respectively, formation energy from the elements values of -3.351; -2.530; -1.752; -1.083; -1.111; -0.755; -5.034; -1.706 eV/f.u..